Crystalline K5Na3TaNb7O24 at its relaxed geometry. Source: Materials Project, functional PBE-GGA.

POSCAR file:
```
K5Na3TaNb7O24
1.0
5.712 5.712 0.000
-5.712 5.712 0.000
0.000 0.000 8.076
O Ta Nb K Na
24 1 7 5 3
direct
0.999 0.249 0.001 O
0.500 0.750 0.002 O
0.750 0.500 0.002 O
0.000 0.500 0.750 O
0.501 0.999 0.250 O
0.000 0.751 0.002 O
0.500 0.000 0.750 O
0.999 0.999 0.249 O
0.501 0.501 0.250 O
0.250 0.999 0.499 O
0.750 0.000 0.498 O
0.500 0.750 0.498 O
0.751 0.000 0.002 O
0.501 0.250 0.001 O
0.250 0.501 0.001 O
0.999 0.250 0.499 O
0.000 0.750 0.498 O
0.250 0.501 0.499 O
0.249 0.999 0.001 O
0.000 0.000 0.751 O
0.750 0.500 0.498 O
0.500 0.500 0.750 O
0.999 0.501 0.250 O
0.501 0.250 0.499 O
0.000 0.000 0.001 Ta
0.000 0.500 0.499 Nb
0.500 0.500 0.001 Nb
0.500 0.000 0.499 Nb
0.500 0.000 0.001 Nb
0.000 0.500 0.001 Nb
0.500 0.500 0.499 Nb
0.000 0.000 0.499 Nb
0.250 0.750 0.750 K
0.750 0.750 0.750 K
0.250 0.250 0.250 K
0.750 0.250 0.750 K
0.250 0.250 0.750 K
0.250 0.750 0.250 Na
0.750 0.750 0.250 Na
0.750 0.250 0.250 Na
```

Calculated values
SG: Cm (8)
Calculated formation energy (eV/atom): -2.86
M_tot (μB per formula unit): 0.00
Energy with MP2020 corrections (eV per formula unit): -325.1

***

Crystalline Sr3Nb at its relaxed geometry. Source: Materials Project, functional PBE-GGA.

POSCAR file:
```
Sr3Nb
1.0
0.000 4.290 4.290
4.290 0.000 4.290
4.290 4.290 0.000
Nb Sr
1 3
direct
0.000 0.000 0.000 Nb
0.500 0.500 0.500 Sr
0.750 0.750 0.750 Sr
0.250 0.250 0.250 Sr
```

Calculated values
SG: Fm-3m (225)
Calculated formation energy (eV/atom): 0.73
M_tot (μB per formula unit): 3.02
E above lowest polymorph (meV/atom): 0

***

Crystalline Hg2AsF6 at its relaxed geometry. Source: Materials Project, functional PBE-GGA.

POSCAR file:
```
Hg2AsF6
1.0
4.867 -6.884 1.205
-2.456 -4.287 6.937
-4.240 2.969 -6.763
F As Hg
12 2 4
direct
0.626 0.626 0.000 F
0.065 0.935 0.500 F
0.376 0.876 0.500 F
0.315 0.315 0.631 F
0.374 0.374 0.000 F
0.435 0.935 0.869 F
0.435 0.565 0.500 F
0.685 0.315 0.000 F
0.065 0.565 0.131 F
0.315 0.685 0.000 F
0.685 0.685 0.369 F
0.124 0.624 0.500 F
0.500 0.500 0.000 As
0.250 0.750 0.500 As
0.875 0.625 0.750 Hg
0.375 0.125 0.250 Hg
0.875 0.125 0.750 Hg
0.875 0.125 0.250 Hg
```

Calculated values
SG: I4_1/amd (141)
Calculated formation energy (eV/atom): -1.91
M_tot (μB per formula unit): 0.00
E above lowest polymorph (meV/atom): 110
Energy with MP2020 corrections (eV per formula unit): -34.0

***

Crystalline Ba3Al3N5 at its relaxed geometry. Source: Materials Project, functional PBE-GGA.

POSCAR file:
```
Ba3Al3N5
1.0
-2.274 4.268 -3.466
3.370 -3.962 -5.589
-7.378 -4.266 2.481
Ba Al N
6 6 10
direct
0.666 0.857 0.880 Ba
0.661 0.661 0.216 Ba
0.189 0.573 0.390 Ba
0.334 0.143 0.120 Ba
0.339 0.339 0.784 Ba
0.811 0.427 0.610 Ba
0.302 0.030 0.420 Al
0.698 0.970 0.580 Al
0.084 0.680 0.023 Al
0.099 0.892 0.708 Al
0.901 0.108 0.292 Al
0.916 0.320 0.977 Al
0.813 0.218 0.130 N
0.219 0.484 0.078 N
0.179 0.256 0.456 N
0.821 0.744 0.544 N
0.631 0.048 0.390 N
0.781 0.516 0.922 N
0.187 0.782 0.870 N
0.369 0.952 0.610 N
0.064 0.889 0.219 N
0.936 0.111 0.781 N
```

Calculated values
SG: P-1 (2)
Calculated formation energy (eV/atom): -1.09
M_tot (μB per formula unit): 0.00
Energy with MP2020 corrections (eV per formula unit): -70.7

***

Crystalline Ti2N2O at its relaxed geometry. Source: Materials Project, functional PBE-GGA.

POSCAR file:
```
Ti2N2O
1.0
5.539 -3.834 4.738
-5.127 -5.549 -3.269
3.872 4.055 -6.021
Ti N O
16 16 8
direct
0.254 0.718 0.455 Ti
0.696 0.453 0.240 Ti
0.208 0.955 0.248 Ti
0.494 0.012 0.003 Ti
0.793 0.044 0.750 Ti
0.999 0.485 0.989 Ti
0.950 0.237 0.206 Ti
0.298 0.546 0.752 Ti
0.502 0.511 0.505 Ti
0.763 0.298 0.551 Ti
0.057 0.760 0.792 Ti
0.458 0.257 0.712 Ti
0.241 0.205 0.951 Ti
0.753 0.786 0.053 Ti
0.013 0.002 0.504 Ti
0.533 0.737 0.292 Ti
0.265 0.774 0.726 N
0.542 0.774 0.551 N
0.511 0.236 0.959 N
0.048 0.274 0.010 N
0.737 0.227 0.276 N
0.222 0.276 0.732 N
0.038 0.489 0.763 N
0.988 0.945 0.721 N
0.276 0.006 0.051 N
0.771 0.721 0.260 N
0.277 0.735 0.224 N
0.451 0.460 0.229 N
0.007 0.050 0.272 N
0.235 0.959 0.509 N
0.549 0.543 0.774 N
0.726 0.265 0.773 N
0.766 0.042 0.493 O
0.964 0.512 0.239 O
0.768 0.545 0.543 O
0.950 0.725 0.996 O
0.455 0.225 0.449 O
0.723 0.992 0.949 O
0.226 0.451 0.457 O
0.494 0.767 0.039 O
```

Calculated values
SG: P1 (1)
Calculated formation energy (eV/atom): -1.99
M_tot (μB per formula unit): 0.00
Energy with MP2020 corrections (eV per formula unit): -47.3

***

Crystalline Li5SbS at its relaxed geometry. Source: Materials Project, functional PBE-GGA.

POSCAR file:
```
Li5SbS
1.0
-3.325 -1.851 -2.014
-0.926 -2.223 3.572
-7.666 9.499 3.923
Sb Li S
2 10 2
direct
0.500 0.990 0.250 Sb
0.500 0.010 0.750 Sb
0.000 0.991 0.393 Li
0.500 0.510 0.606 Li
0.000 0.009 0.893 Li
0.000 0.513 0.750 Li
0.000 0.009 0.607 Li
0.000 0.487 0.250 Li
0.500 0.490 0.106 Li
0.500 0.490 0.394 Li
0.500 0.510 0.894 Li
0.000 0.991 0.107 Li
0.000 0.500 0.500 S
0.000 0.500 0.000 S
```

Calculated values
SG: Pmma (51)
Calculated formation energy (eV/atom): -0.96
M_tot (μB per formula unit): 0.00
E above lowest polymorph (meV/atom): 0
Energy with MP2020 corrections (eV per formula unit): -24.5

***

Crystalline TeCF2 at its relaxed geometry. Source: Materials Project, functional PBE-GGA.

POSCAR file:
```
TeCF2
1.0
-4.410 4.084 -10.389
5.610 -2.874 -3.511
-3.627 -6.521 -1.023
C Te F
8 8 16
direct
0.965 0.763 0.114 C
0.134 0.081 0.686 C
0.465 0.237 0.886 C
0.669 0.400 0.982 C
0.989 0.269 0.448 C
0.169 0.600 0.018 C
0.489 0.731 0.552 C
0.634 0.919 0.314 C
0.973 0.984 0.576 Te
0.625 0.249 0.737 Te
0.651 0.636 0.445 Te
0.151 0.364 0.555 Te
0.473 0.016 0.424 Te
0.008 0.609 0.870 Te
0.125 0.751 0.263 Te
0.508 0.391 0.130 Te
0.402 0.618 0.503 F
0.135 0.081 0.867 F
0.755 0.319 0.076 F
0.202 0.420 0.055 F
0.429 0.060 0.922 F
0.929 0.940 0.078 F
0.721 0.033 0.359 F
0.902 0.382 0.497 F
0.987 0.272 0.267 F
0.380 0.321 0.789 F
0.880 0.679 0.211 F
0.255 0.681 0.924 F
0.221 0.967 0.641 F
0.702 0.580 0.945 F
0.487 0.728 0.733 F
0.635 0.919 0.133 F
```

Calculated values
SG: P2_1 (4)
Calculated formation energy (eV/atom): -0.91
M_tot (μB per formula unit): 0.00
Energy with MP2020 corrections (eV per formula unit): -19.9

***

Crystalline Sn at its relaxed geometry. Source: Materials Project, functional PBE-GGA.

POSCAR file:
```
Sn
1.0
3.249 -0.336 -0.966
-0.561 -3.360 -0.028
-2.089 1.941 -1.863
Sn
1
direct
0.000 0.000 0.000 Sn
```

Calculated values
SG: Immm (71)
Calculated formation energy (eV/atom): 0.06
M_tot (μB per formula unit): 0.00
E above lowest polymorph (meV/atom): 61

***

Crystalline Na3CoN2 at its relaxed geometry. Source: Materials Project, functional PBE-GGA.

POSCAR file:
```
Na3CoN2
1.0
-8.310 1.460 -3.910
-2.314 -1.485 -10.380
5.201 -9.392 0.184
N Na Co
16 24 8
direct
0.354 0.323 0.427 N
0.000 0.000 0.000 N
0.500 0.073 0.250 N
0.000 0.500 0.000 N
0.500 0.427 0.750 N
0.000 0.000 0.500 N
0.000 0.500 0.500 N
0.354 0.823 0.927 N
0.000 0.750 0.823 N
0.000 0.750 0.323 N
0.000 0.250 0.177 N
0.646 0.177 0.073 N
0.500 0.573 0.250 N
0.500 0.927 0.750 N
0.000 0.250 0.677 N
0.646 0.677 0.573 N
0.680 0.301 0.433 Na
0.680 0.018 0.747 Na
0.813 0.933 0.048 Na
0.717 0.048 0.518 Na
0.813 0.753 0.548 Na
0.320 0.199 0.753 Na
0.283 0.265 0.982 Na
0.187 0.747 0.735 Na
0.813 0.253 0.265 Na
0.283 0.765 0.301 Na
0.187 0.567 0.235 Na
0.320 0.982 0.253 Na
0.717 0.235 0.699 Na
0.283 0.952 0.482 Na
0.680 0.518 0.933 Na
0.717 0.735 0.018 Na
0.320 0.482 0.067 Na
0.680 0.801 0.247 Na
0.187 0.247 0.452 Na
0.187 0.067 0.952 Na
0.717 0.548 0.199 Na
0.283 0.452 0.801 Na
0.320 0.699 0.567 Na
0.813 0.433 0.765 Na
0.204 0.296 0.204 Co
0.796 0.500 0.500 Co
0.796 0.704 0.796 Co
0.204 0.000 0.704 Co
0.204 0.500 0.500 Co
0.796 0.000 0.296 Co
0.204 0.796 0.000 Co
0.796 0.204 0.000 Co
```

Calculated values
SG: Ia-3 (206)
Calculated formation energy (eV/atom): 0.25
M_tot (μB per formula unit): 2.00
E above lowest polymorph (meV/atom): 255
Energy with MP2020 corrections (eV per formula unit): -26.2

***

Crystalline MgNb2P2S2 at its relaxed geometry. Source: Materials Project, functional PBE-GGA.

POSCAR file:
```
MgNb2P2S2
1.0
3.795 0.000 -1.020
-0.466 4.516 -1.735
0.192 0.586 8.282
Nb Mg S P
2 1 2 2
direct
0.222 0.717 0.434 Nb
0.788 0.283 0.566 Nb
0.941 0.500 0.000 Mg
0.189 0.186 0.372 S
0.817 0.814 0.628 S
0.441 0.797 0.000 P
0.441 0.203 0.000 P
```

Calculated values
SG: Imm2 (44)
Calculated formation energy (eV/atom): -0.30
M_tot (μB per formula unit): 0.00
E above lowest polymorph (meV/atom): 617
Energy with MP2020 corrections (eV per formula unit): -43.0

***

Crystalline LaUAl4 at its relaxed geometry. Source: Materials Project, functional PBE-GGA.

POSCAR file:
```
LaUAl4
1.0
1.542 2.680 4.705
0.856 5.564 -0.081
-3.621 3.443 2.594
La Al U
1 4 1
direct
0.250 0.250 0.250 La
0.626 0.626 0.626 Al
0.626 0.626 0.123 Al
0.626 0.123 0.626 Al
0.123 0.626 0.626 Al
0.000 0.000 0.000 U
```

Calculated values
SG: F-43m (216)
Calculated formation energy (eV/atom): -0.23
M_tot (μB per formula unit): 2.66

***

Crystalline Hg2P2O7 at its relaxed geometry. Source: Materials Project, functional PBE-GGA.

POSCAR file:
```
Hg2P2O7
1.0
-1.144 -6.583 -0.370
6.440 -1.649 -1.377
1.295 -3.117 5.961
Hg O P
4 14 4
direct
0.261 0.398 0.711 Hg
0.739 0.602 0.289 Hg
0.096 0.136 0.266 Hg
0.904 0.864 0.734 Hg
0.379 0.541 0.340 O
0.397 0.089 0.343 O
0.862 0.521 0.866 O
0.248 0.085 0.885 O
0.621 0.459 0.660 O
0.047 0.772 0.349 O
0.606 0.238 0.980 O
0.394 0.762 0.020 O
0.240 0.765 0.727 O
0.603 0.911 0.657 O
0.138 0.479 0.134 O
0.752 0.915 0.115 O
0.953 0.228 0.651 O
0.760 0.235 0.273 O
0.766 0.367 0.780 P
0.234 0.633 0.220 P
0.628 0.112 0.191 P
0.372 0.888 0.809 P
```

Calculated values
SG: P-1 (2)
Calculated formation energy (eV/atom): -1.95
M_tot (μB per formula unit): 0.00
E above lowest polymorph (meV/atom): 25
Energy with MP2020 corrections (eV per formula unit): -67.5

***

Crystalline Li3Ti2Cu3O10 at its relaxed geometry. Source: Materials Project, functional PBE-GGA.

POSCAR file:
```
Li3Ti2Cu3O10
1.0
5.129 -0.033 0.193
-1.272 5.160 -0.151
-1.382 -2.643 7.131
O Cu Li Ti
10 3 3 2
direct
0.471 0.852 0.664 O
0.900 0.685 0.468 O
0.100 0.315 0.532 O
0.315 0.735 0.952 O
0.047 0.051 0.844 O
0.685 0.265 0.048 O
0.202 0.478 0.212 O
0.953 0.949 0.156 O
0.798 0.522 0.788 O
0.529 0.148 0.336 O
0.704 0.876 0.908 Cu
0.296 0.124 0.092 Cu
0.000 0.500 0.000 Cu
0.208 0.910 0.385 Li
0.792 0.090 0.615 Li
0.500 0.500 0.500 Li
0.877 0.302 0.310 Ti
0.123 0.698 0.690 Ti
```

Calculated values
SG: P-1 (2)
Calculated formation energy (eV/atom): -2.05
M_tot (μB per formula unit): 4.00
E above lowest polymorph (meV/atom): 0
Energy with MP2020 corrections (eV per formula unit): -120.1

***

Crystalline NdO at its relaxed geometry. Source: Materials Project, functional PBE-GGA.

POSCAR file:
```
NdO
1.0
-1.646 2.571 1.831
-1.459 -1.270 -2.988
-2.917 -4.132 3.181
O Nd
2 2
direct
0.000 0.000 0.500 O
0.000 0.000 0.000 O
0.333 0.667 0.750 Nd
0.667 0.333 0.250 Nd
```

Calculated values
SG: P6_3/mmc (194)
Calculated formation energy (eV/atom): -3.05
M_tot (μB per formula unit): 0.00
E above lowest polymorph (meV/atom): 27
Energy with MP2020 corrections (eV per formula unit): -15.8

***

Crystalline CrSe2 at its relaxed geometry. Source: Materials Project, functional PBE-GGA.

POSCAR file:
```
CrSe2
1.0
1.760 -3.048 0.000
1.760 3.048 0.000
0.000 0.000 5.889
Se Cr
2 1
direct
0.667 0.333 0.754 Se
0.333 0.667 0.246 Se
0.000 0.000 0.000 Cr
```

Calculated values
SG: P-3m1 (164)
Calculated formation energy (eV/atom): -0.77
M_tot (μB per formula unit): 2.31
Energy with MP2020 corrections (eV per formula unit): -19.0

***

Crystalline Ta2TiN3 at its relaxed geometry. Source: Materials Project, functional PBE-GGA.

POSCAR file:
```
Ta2TiN3
1.0
-1.611 1.307 -4.827
-3.381 -2.131 3.410
-0.716 2.678 0.964
N Ta Ti
3 2 1
direct
0.000 0.500 0.000 N
0.500 0.500 0.000 N
0.500 0.000 0.000 N
0.333 0.667 0.500 Ta
0.667 0.333 0.500 Ta
0.000 0.000 0.000 Ti
```

Calculated values
SG: P6/mmm (191)
Calculated formation energy (eV/atom): -1.06
M_tot (μB per formula unit): 0.02
Energy with MP2020 corrections (eV per formula unit): -63.0